(1)
# LiMg14GaO16 | Materials Project | PBE-GGA | optimized geometry
data_LiMg14GaO16
_chemical_formula_sum 'Li1 Mg14 Ga1 O16'
_space_group_name_H-M_alt 'P 1'
_space_group_IT_number 1
_cell_length_a 8.5009
_cell_length_b 8.4958
_cell_length_c 4.2496
_cell_angle_alpha 90.00
_cell_angle_beta 90.00
_cell_angle_gamma 90.00
loop_
_space_group_symop_operation_xyz
'x,y,z'
loop_
_atom_site_label
_atom_site_fract_x
_atom_site_fract_y
_atom_site_fract_z
Mg1 0.5000 0.0000 0.0000
Mg2 0.0000 0.7592 0.5000
Mg3 0.7484 0.5000 0.5000
Mg4 0.2516 0.5000 0.5000
Mg5 0.5000 0.2476 0.5000
Mg6 0.2446 0.0000 0.5000
Mg7 0.0000 0.2408 0.5000
Mg8 0.5000 0.7524 0.5000
Mg9 0.5000 0.5000 0.0000
Mg10 0.2493 0.2438 0.0000
Mg11 0.7554 0.0000 0.5000
Mg12 0.2493 0.7562 0.0000
Mg13 0.7507 0.7562 0.0000
Mg14 0.7507 0.2438 0.0000
O1 0.0000 0.0000 0.5000
O2 0.5000 0.2539 0.0000
O3 0.7567 0.5000 0.0000
O4 0.2433 0.5000 0.0000
O5 0.2494 0.7480 0.5000
O6 0.7506 0.7480 0.5000
O7 0.2494 0.2520 0.5000
O8 0.7448 0.0000 0.0000
O9 0.7506 0.2520 0.5000
O10 0.5000 0.7461 0.0000
O11 0.0000 0.2690 0.0000
O12 0.2552 0.0000 0.0000
O13 0.0000 0.7310 0.0000
O14 0.5000 0.0000 0.5000
O15 0.0000 0.5000 0.5000
O16 0.5000 0.5000 0.5000
Li1 0.0000 0.0000 0.0000
Ga1 0.0000 0.5000 0.0000
# **Energy above the lowest structure with this stoichiometry**: 0.0 meV per atom
# **Space-group type**: Pmmm
# **Energy of formation**: -2.95 eV per atom
# **Density**: 3.64 g/cm³
# **Total energy**: -5.94 eV/atom

---

(2)
# LiMg6GaO8 | Materials Project | PBE-GGA | optimized geometry
data_LiMg6GaO8
_chemical_formula_sum 'Li1 Mg6 Ga1 O8'
_space_group_name_H-M_alt 'P 1'
_space_group_IT_number 1
_cell_length_a 8.4730
_cell_length_b 4.2458
_cell_length_c 4.2458
_cell_angle_alpha 90.00
_cell_angle_beta 90.00
_cell_angle_gamma 90.00
loop_
_space_group_symop_operation_xyz
'x,y,z'
loop_
_atom_site_label
_atom_site_fract_x
_atom_site_fract_y
_atom_site_fract_z
O1 0.0000 0.5000 0.0000
O2 0.0000 0.0000 0.5000
O3 0.7269 0.0000 0.0000
O4 0.5000 0.0000 0.5000
O5 0.5000 0.5000 0.0000
O6 0.7465 0.5000 0.5000
O7 0.2731 0.0000 0.0000
O8 0.2535 0.5000 0.5000
Mg1 0.0000 0.5000 0.5000
Mg2 0.7614 0.0000 0.5000
Mg3 0.7614 0.5000 0.0000
Mg4 0.5000 0.5000 0.5000
Mg5 0.2386 0.0000 0.5000
Mg6 0.2386 0.5000 0.0000
Ga1 0.5000 0.0000 0.0000
Li1 0.0000 0.0000 0.0000
# **Energy above the lowest structure with this stoichiometry**: 0.0 meV per atom
# **Space-group type**: P4/mmm
# **Energy of formation**: -2.84 eV per atom
# **Density**: 3.81 g/cm³
# **Total energy**: -5.87 eV/atom

---

(3)
# LiMg6GaO8 | Materials Project | PBE-GGA | optimized geometry
data_LiMg6GaO8
_chemical_formula_sum 'Li1 Mg6 Ga1 O8'
_space_group_name_H-M_alt 'P 1'
_space_group_IT_number 1
_cell_length_a 8.5145
_cell_length_b 4.2100
_cell_length_c 4.2100
_cell_angle_alpha 90.00
_cell_angle_beta 90.00
_cell_angle_gamma 90.00
loop_
_space_group_symop_operation_xyz
'x,y,z'
loop_
_atom_site_label
_atom_site_fract_x
_atom_site_fract_y
_atom_site_fract_z
Mg1 0.2458 0.5000 0.0000
Mg2 0.7542 0.0000 0.5000
Mg3 0.7542 0.5000 0.0000
Mg4 0.5000 0.5000 0.5000
Mg5 0.5000 0.0000 0.0000
Mg6 0.2458 0.0000 0.5000
O1 0.7623 0.5000 0.5000
O2 0.2377 0.5000 0.5000
O3 0.0000 0.0000 0.5000
O4 0.5000 0.5000 0.0000
O5 0.2570 0.0000 0.0000
O6 0.0000 0.5000 0.0000
O7 0.5000 0.0000 0.5000
O8 0.7430 0.0000 0.0000
Li1 0.0000 0.0000 0.0000
Ga1 0.0000 0.5000 0.5000
# **Energy above the lowest structure with this stoichiometry**: 3.9 meV per atom
# **Space-group type**: P4/mmm
# **Energy of formation**: -2.83 eV per atom
# **Density**: 3.86 g/cm³
# **Total energy**: -5.87 eV/atom

---

(4)
# LiMg14GaO16 | Materials Project | PBE-GGA | optimized geometry
data_LiMg14GaO16
_chemical_formula_sum 'Li1 Mg14 Ga1 O16'
_space_group_name_H-M_alt 'P 1'
_space_group_IT_number 1
_cell_length_a 8.4985
_cell_length_b 8.4985
_cell_length_c 4.2451
_cell_angle_alpha 90.00
_cell_angle_beta 90.00
_cell_angle_gamma 90.00
loop_
_space_group_symop_operation_xyz
'x,y,z'
loop_
_atom_site_label
_atom_site_fract_x
_atom_site_fract_y
_atom_site_fract_z
O1 0.0000 0.0000 0.5000
O2 0.5000 0.7377 0.0000
O3 0.5000 0.0000 0.5000
O4 0.2518 0.7482 0.5000
O5 0.2602 0.0000 0.0000
O6 0.0000 0.5000 0.5000
O7 0.0000 0.2602 0.0000
O8 0.7482 0.7482 0.5000
O9 0.7482 0.2518 0.5000
O10 0.2623 0.5000 0.0000
O11 0.0000 0.7398 0.0000
O12 0.7398 0.0000 0.0000
O13 0.5000 0.2623 0.0000
O14 0.5000 0.5000 0.5000
O15 0.2518 0.2518 0.5000
O16 0.7377 0.5000 0.0000
Mg1 0.2431 0.2431 0.0000
Mg2 0.5000 0.7540 0.5000
Mg3 0.7569 0.7569 0.0000
Mg4 0.7575 0.0000 0.5000
Mg5 0.2425 0.0000 0.5000
Mg6 0.0000 0.5000 0.0000
Mg7 0.7540 0.5000 0.5000
Mg8 0.5000 0.0000 0.0000
Mg9 0.0000 0.2425 0.5000
Mg10 0.0000 0.7575 0.5000
Mg11 0.2431 0.7569 0.0000
Mg12 0.7569 0.2431 0.0000
Mg13 0.5000 0.2460 0.5000
Mg14 0.2460 0.5000 0.5000
Li1 0.0000 0.0000 0.0000
Ga1 0.5000 0.5000 0.0000
# **Energy above the lowest structure with this stoichiometry**: 9.2 meV per atom
# **Space-group type**: P4/mmm
# **Energy of formation**: -2.94 eV per atom
# **Density**: 3.64 g/cm³
# **Total energy**: -5.93 eV/atom

---

(5)
# Li3GaN2 | Materials Project | PBE-GGA | optimized geometry
data_Li3GaN2
_chemical_formula_sum 'Li24 Ga8 N16'
_space_group_name_H-M_alt 'P 1'
_space_group_IT_number 1
_cell_length_a 8.3792
_cell_length_b 8.3792
_cell_length_c 8.3792
_cell_angle_alpha 109.47
_cell_angle_beta 109.47
_cell_angle_gamma 109.47
loop_
_space_group_symop_operation_xyz
'x,y,z'
loop_
_atom_site_label
_atom_site_fract_x
_atom_site_fract_y
_atom_site_fract_z
Li1 0.5079 0.2689 0.0320
Li2 0.7610 0.9921 0.0242
Li3 0.7390 0.7631 0.2311
Li4 0.4680 0.7369 0.4758
Li5 0.2390 0.0079 0.9758
Li6 0.7631 0.2311 0.7390
Li7 0.9921 0.0242 0.7610
Li8 0.7311 0.9680 0.4921
Li9 0.5242 0.5320 0.2631
Li10 0.9680 0.4921 0.7311
Li11 0.2689 0.0320 0.5079
Li12 0.0320 0.5079 0.2689
Li13 0.2631 0.5242 0.5320
Li14 0.4758 0.4680 0.7369
Li15 0.2610 0.2369 0.7689
Li16 0.4921 0.7311 0.9680
Li17 0.9758 0.2390 0.0079
Li18 0.2369 0.7689 0.2610
Li19 0.7689 0.2610 0.2369
Li20 0.2311 0.7390 0.7631
Li21 0.0242 0.7610 0.9921
Li22 0.5320 0.2631 0.5242
Li23 0.7369 0.4758 0.4680
Li24 0.0079 0.9758 0.2390
N1 0.5000 0.5000 0.5000
N2 0.9772 0.7500 0.7272
N3 0.2272 0.4772 0.7500
N4 0.5228 0.2500 0.7728
N5 0.0228 0.2500 0.2728
N6 0.5000 0.0000 0.0000
N7 0.7500 0.7272 0.9772
N8 0.0000 0.5000 0.0000
N9 0.7728 0.5228 0.2500
N10 0.2500 0.2728 0.0228
N11 0.7272 0.9772 0.7500
N12 0.7500 0.2272 0.4772
N13 0.2728 0.0228 0.2500
N14 0.4772 0.7500 0.2272
N15 0.2500 0.7728 0.5228
N16 0.0000 0.0000 0.5000
Ga1 0.0000 0.7642 0.5000
Ga2 0.2642 0.2642 0.2642
Ga3 0.7642 0.5000 0.0000
Ga4 0.5000 0.0000 0.2358
Ga5 0.2358 0.5000 0.0000
Ga6 0.5000 0.0000 0.7642
Ga7 0.7358 0.7358 0.7358
Ga8 0.0000 0.2358 0.5000
# **Space-group type**: Ia-3
# **Energy of formation**: -0.65 eV per atom
# **Density**: 3.48 g/cm³
# **Total energy**: -4.77 eV/atom

---

(6)
# Li2NdGa | Materials Project | PBE-GGA | optimized geometry
data_Li2NdGa
_chemical_formula_sum 'Li2 Nd1 Ga1'
_space_group_name_H-M_alt 'P 1'
_space_group_IT_number 1
_cell_length_a 4.8023
_cell_length_b 4.8023
_cell_length_c 4.8023
_cell_angle_alpha 60.00
_cell_angle_beta 60.00
_cell_angle_gamma 60.00
loop_
_space_group_symop_operation_xyz
'x,y,z'
loop_
_atom_site_label
_atom_site_fract_x
_atom_site_fract_y
_atom_site_fract_z
Ga1 0.5000 0.5000 0.5000
Nd1 0.0000 0.0000 0.0000
Li1 0.2500 0.2500 0.2500
Li2 0.7500 0.7500 0.7500
# **Space-group type**: Fm-3m
# **Energy of formation**: -0.28 eV per atom
# **Density**: 4.83 g/cm³
# **Total energy**: -3.18 eV/atom

---

(7)
# LiNd2Ga | Materials Project | PBE-GGA | optimized geometry
data_LiNd2Ga
_chemical_formula_sum 'Li1 Nd2 Ga1'
_space_group_name_H-M_alt 'P 1'
_space_group_IT_number 1
_cell_length_a 5.2614
_cell_length_b 5.2614
_cell_length_c 5.2614
_cell_angle_alpha 60.00
_cell_angle_beta 60.00
_cell_angle_gamma 60.00
loop_
_space_group_symop_operation_xyz
'x,y,z'
loop_
_atom_site_label
_atom_site_fract_x
_atom_site_fract_y
_atom_site_fract_z
Ga1 0.5000 0.5000 0.5000
Li1 0.0000 0.0000 0.0000
Nd1 0.7500 0.7500 0.7500
Nd2 0.2500 0.2500 0.2500
# **Space-group type**: Fm-3m
# **Energy of formation**: -0.30 eV per atom
# **Density**: 5.89 g/cm³
# **Total energy**: -3.91 eV/atom

---

(8)
# LiGaNi2 | Materials Project | PBE-GGA | optimized geometry
data_LiGaNi2
_chemical_formula_sum 'Li1 Ga1 Ni2'
_space_group_name_H-M_alt 'P 1'
_space_group_IT_number 1
_cell_length_a 4.0241
_cell_length_b 4.0241
_cell_length_c 4.0241
_cell_angle_alpha 60.00
_cell_angle_beta 60.00
_cell_angle_gamma 60.00
loop_
_space_group_symop_operation_xyz
'x,y,z'
loop_
_atom_site_label
_atom_site_fract_x
_atom_site_fract_y
_atom_site_fract_z
Ni1 0.7500 0.7500 0.7500
Ni2 0.2500 0.2500 0.2500
Li1 0.5000 0.5000 0.5000
Ga1 0.0000 0.0000 0.0000
# **Space-group type**: Fm-3m
# **Energy of formation**: -0.34 eV per atom
# **Density**: 6.99 g/cm³
# **Total energy**: -4.46 eV/atom

---

(9)
# LiGaO2 | Materials Project | PBE-GGA | optimized geometry
data_LiGaO2
_chemical_formula_sum 'Li1 Ga1 O2'
_space_group_name_H-M_alt 'P 1'
_space_group_IT_number 1
_cell_length_a 2.9504
_cell_length_b 2.9504
_cell_length_c 5.1732
_cell_angle_alpha 73.43
_cell_angle_beta 73.43
_cell_angle_gamma 60.00
loop_
_space_group_symop_operation_xyz
'x,y,z'
loop_
_atom_site_label
_atom_site_fract_x
_atom_site_fract_y
_atom_site_fract_z
O1 0.7585 0.7585 0.7244
O2 0.2415 0.2415 0.2756
Li1 0.0000 0.0000 0.0000
Ga1 0.5000 0.5000 0.5000
# **Space-group type**: R-3m
# **Energy of formation**: -2.31 eV per atom
# **Density**: 4.90 g/cm³
# **Total energy**: -5.68 eV/atom

---

(10)
# Li5GaO2 | Materials Project | PBE-GGA | optimized geometry
data_Li5GaO2
_chemical_formula_sum 'Li20 Ga4 O8'
_space_group_name_H-M_alt 'P 1'
_space_group_IT_number 1
_cell_length_a 7.1090
_cell_length_b 7.1090
_cell_length_c 8.9171
_cell_angle_alpha 90.00
_cell_angle_beta 90.00
_cell_angle_gamma 90.00
loop_
_space_group_symop_operation_xyz
'x,y,z'
loop_
_atom_site_label
_atom_site_fract_x
_atom_site_fract_y
_atom_site_fract_z
Li1 0.7318 0.1414 0.9626
Li2 0.0880 0.0000 0.2500
Li3 0.8586 0.2682 0.2874
Li4 0.5000 0.1879 0.5000
Li5 0.0000 0.3505 0.0000
Li6 0.0000 0.9120 0.0000
Li7 0.1879 0.5000 0.2500
Li8 0.2682 0.1414 0.0374
Li9 0.0000 0.0880 0.5000
Li10 0.3505 0.0000 0.7500
Li11 0.1414 0.2682 0.7126
Li12 0.6495 0.0000 0.2500
Li13 0.7318 0.8586 0.5374
Li14 0.2682 0.8586 0.4626
Li15 0.5000 0.8121 0.0000
Li16 0.1414 0.7318 0.7874
Li17 0.0000 0.6495 0.5000
Li18 0.8121 0.5000 0.7500
Li19 0.9120 0.0000 0.7500
Li20 0.8586 0.7318 0.2126
O1 0.7532 0.0862 0.4283
O2 0.0862 0.2468 0.1783
O3 0.9138 0.2468 0.8217
O4 0.0862 0.7532 0.3217
O5 0.2468 0.0862 0.5717
O6 0.2468 0.9138 0.9283
O7 0.9138 0.7532 0.6783
O8 0.7532 0.9138 0.0717
Ga1 0.4234 0.5000 0.7500
Ga2 0.5766 0.5000 0.2500
Ga3 0.5000 0.5766 0.5000
Ga4 0.5000 0.4234 0.0000
# **Space-group type**: P4_122
# **Energy of formation**: -1.34 eV per atom
# **Density**: 2.01 g/cm³
# **Total energy**: -3.98 eV/atom

---

(11)
# LiGaO2 | Materials Project | PBE-GGA | optimized geometry
data_LiGaO2
_chemical_formula_sum 'Li4 Ga4 O8'
_space_group_name_H-M_alt 'P 1'
_space_group_IT_number 1
_cell_length_a 5.0941
_cell_length_b 5.4665
_cell_length_c 6.4571
_cell_angle_alpha 90.00
_cell_angle_beta 90.00
_cell_angle_gamma 90.00
loop_
_space_group_symop_operation_xyz
'x,y,z'
loop_
_atom_site_label
_atom_site_fract_x
_atom_site_fract_y
_atom_site_fract_z
O1 0.8959 0.9072 0.3618
O2 0.8959 0.4072 0.1382
O3 0.3726 0.5688 0.3875
O4 0.3959 0.5928 0.8618
O5 0.8726 0.4312 0.6125
O6 0.3726 0.0688 0.1125
O7 0.3959 0.0928 0.6382
O8 0.8726 0.9312 0.8875
Ga1 0.5046 0.4189 0.6261
Ga2 0.5046 0.9189 0.8739
Ga3 0.0046 0.0811 0.1261
Ga4 0.0046 0.5811 0.3739
Li1 0.0001 0.0823 0.6244
Li2 0.5001 0.4177 0.1244
Li3 0.0001 0.5823 0.8756
Li4 0.5001 0.9177 0.3756
# **Space-group type**: Pna2_1
# **Largest piezoelectric modulus**: 0.992 C/m2
# **Energy of formation**: -2.38 eV per atom
# **Density**: 4.01 g/cm³
# **Total energy**: -5.74 eV/atom

---

(12)
# LiGaO2 | Materials Project | PBE-GGA | optimized geometry
data_LiGaO2
_chemical_formula_sum 'Li1 Ga1 O2'
_space_group_name_H-M_alt 'P 1'
_space_group_IT_number 1
_cell_length_a 3.0025
_cell_length_b 3.0025
_cell_length_c 3.8612
_cell_angle_alpha 90.00
_cell_angle_beta 90.00
_cell_angle_gamma 90.00
loop_
_space_group_symop_operation_xyz
'x,y,z'
loop_
_atom_site_label
_atom_site_fract_x
_atom_site_fract_y
_atom_site_fract_z
Ga1 0.0000 0.0000 0.5000
O1 0.5000 0.5000 0.5000
O2 0.0000 0.0000 0.0000
Li1 0.5000 0.5000 0.0000
# **Space-group type**: P4/mmm
# **Energy of formation**: -2.15 eV per atom
# **Density**: 5.18 g/cm³
# **Total energy**: -5.51 eV/atom

---

(13)
# LiGaP4O12 | Materials Project | PBE-GGA | optimized geometry
data_LiGaP4O12
_chemical_formula_sum 'Li4 Ga4 P16 O48'
_space_group_name_H-M_alt 'P 1'
_space_group_IT_number 1
_cell_length_a 8.3836
_cell_length_b 9.2057
_cell_length_c 12.6907
_cell_angle_alpha 90.00
_cell_angle_beta 90.00
_cell_angle_gamma 90.00
loop_
_space_group_symop_operation_xyz
'x,y,z'
loop_
_atom_site_label
_atom_site_fract_x
_atom_site_fract_y
_atom_site_fract_z
O1 0.6310 0.8761 0.1250
O2 0.6027 0.0768 0.2571
O3 0.1310 0.6239 0.6250
O4 0.3973 0.5768 0.2571
O5 0.6027 0.4232 0.7429
O6 0.4648 0.8703 0.9311
O7 0.3690 0.3761 0.1250
O8 0.0352 0.1297 0.4311
O9 0.6310 0.6239 0.8750
O10 0.5949 0.6270 0.6052
O11 0.8071 0.8673 0.9379
O12 0.0352 0.3703 0.5689
O13 0.3572 0.9644 0.1798
O14 0.1428 0.4644 0.3202
O15 0.8973 0.9232 0.7571
O16 0.9648 0.8703 0.5689
O17 0.1027 0.0768 0.2429
O18 0.6428 0.0356 0.8202
O19 0.9051 0.1270 0.8948
O20 0.1929 0.1327 0.0621
O21 0.4051 0.3730 0.3948
O22 0.8572 0.5356 0.6798
O23 0.5352 0.1297 0.0689
O24 0.4648 0.6297 0.0689
O25 0.8973 0.5768 0.2429
O26 0.4051 0.1270 0.6052
O27 0.6428 0.4644 0.1798
O28 0.0949 0.8730 0.1052
O29 0.1428 0.0356 0.6798
O30 0.9051 0.3730 0.1052
O31 0.1027 0.4232 0.7571
O32 0.8572 0.9644 0.3202
O33 0.6929 0.3673 0.5621
O34 0.9648 0.6297 0.4311
O35 0.0949 0.6270 0.8948
O36 0.5352 0.3703 0.9311
O37 0.3973 0.9232 0.7429
O38 0.3071 0.8673 0.5621
O39 0.3071 0.6327 0.4379
O40 0.3572 0.5356 0.8202
O41 0.1929 0.3673 0.9379
O42 0.8690 0.3761 0.3750
O43 0.5949 0.8730 0.3948
O44 0.8690 0.1239 0.6250
O45 0.8071 0.6327 0.0621
O46 0.6929 0.1327 0.4379
O47 0.3690 0.1239 0.8750
O48 0.1310 0.8761 0.3750
P1 0.9644 0.5103 0.3501
P2 0.6810 0.0052 0.3619
P3 0.5356 0.0103 0.1499
P4 0.8190 0.5052 0.1381
P5 0.3190 0.5052 0.3619
P6 0.4644 0.9897 0.8501
P7 0.0356 0.4897 0.6499
P8 0.1810 0.0052 0.1381
P9 0.8190 0.9948 0.8619
P10 0.4644 0.5103 0.1499
P11 0.0356 0.0103 0.3501
P12 0.1810 0.4948 0.8619
P13 0.3190 0.9948 0.6381
P14 0.9644 0.9897 0.6499
P15 0.5356 0.4897 0.8501
P16 0.6810 0.4948 0.6381
Li1 0.9978 0.7500 0.0000
Li2 0.4978 0.7500 0.5000
Li3 0.5022 0.2500 0.5000
Li4 0.0022 0.2500 0.0000
Ga1 0.3710 0.2500 0.0000
Ga2 0.8710 0.2500 0.5000
Ga3 0.1290 0.7500 0.5000
Ga4 0.6290 0.7500 0.0000
# **Space-group type**: Pbcn
# **Energy of formation**: -2.62 eV per atom
# **Density**: 2.66 g/cm³
# **Total energy**: -6.94 eV/atom